The following is a PBE calculation of a relaxed Tb5Mg24 crystal, from Materials Project.

Structure (CIF):
```
data_Tb5Mg24
_chemical_formula_sum 'Tb10 Mg48'
_symmetry_space_group_name_H-M 'I -4 3 m'
_symmetry_Int_Tables_number 217
_symmetry_space_group_name_Hall 'I -4 2 3'
_cell_length_a 11.285
_cell_length_b 11.285
_cell_length_c 11.285
_cell_angle_alpha 90.00
_cell_angle_beta 90.00
_cell_angle_gamma 90.00
loop_
_atom_site_label
_atom_site_type_symbol
_atom_site_fract_x
_atom_site_fract_y
_atom_site_fract_z
Tb1 Tb 0.000 0.000 0.000
Tb2 Tb 0.186 0.186 0.186
Mg1 Mg 0.033 0.358 0.642
Mg2 Mg 0.090 0.090 0.720
```


# Na6Y5Nb3Si6S6O48, optimized geometry, DFT PBE
data_Na6Y5Nb3Si6S6O48
_chemical_formula_sum 'Na18 Y15 Nb9 Si18 S18 O144'
_symmetry_space_group_name_H-M 'P 1'
_symmetry_Int_Tables_number 1
_cell_length_a 9.196
_cell_length_b 15.928
_cell_length_c 23.557
_cell_angle_alpha 90.12
_cell_angle_beta 90.41
_cell_angle_gamma 90.09
loop_
_symmetry_equiv_pos_as_xyz
'x,y,z'
loop_
_atom_site_label
_atom_site_type_symbol
_atom_site_fract_x
_atom_site_fract_y
_atom_site_fract_z
Na1 Na 0.000 0.000 0.000
Na2 Na 0.001 0.669 0.156
Na3 Na 0.005 0.994 0.491
Na4 Na 0.010 0.351 0.329
Na5 Na 0.016 0.665 0.652
Na6 Na 0.138 0.169 0.411
Na7 Na 0.188 0.844 0.408
Na8 Na 0.481 0.501 0.989
Na9 Na 0.489 0.180 0.656
Na10 Na 0.494 0.163 0.146
Na11 Na 0.496 0.492 0.486
Na12 Na 0.502 0.839 0.328
Na13 Na 0.503 0.833 0.831
Na14 Na 0.630 0.669 0.404
Na15 Na 0.683 0.354 0.414
Na16 Na 0.794 0.845 0.912
Na17 Na 0.837 0.171 0.911
Na18 Na 0.985 0.340 0.820
Y1 Y 0.000 0.337 0.472
Y2 Y 0.000 0.997 0.633
Y3 Y 0.489 0.498 0.344
Y4 Y 0.490 0.499 0.134
Y5 Y 0.493 0.163 0.302
Y6 Y 0.493 0.832 0.971
Y7 Y 0.493 0.839 0.470
Y8 Y 0.494 0.493 0.637
Y9 Y 0.496 0.169 0.803
Y10 Y 0.991 0.000 0.842
Y11 Y 0.994 0.663 0.800
Y12 Y 0.995 0.664 0.305
Y13 Y 0.995 0.994 0.342
Y14 Y 0.997 0.334 0.970
Y15 Y 0.997 0.997 0.133
Nb1 Nb 0.003 0.327 0.669
Nb2 Nb 0.004 0.326 0.167
Nb3 Nb 0.006 0.668 0.502
Nb4 Nb 0.479 0.173 0.512
Nb5 Nb 0.479 0.823 0.673
Nb6 Nb 0.490 0.497 0.841
Nb7 Nb 0.492 0.832 0.162
Nb8 Nb 0.512 0.168 0.011
Nb9 Nb 0.983 0.668 0.012
Si1 Si 0.142 0.184 0.568
Si2 Si 0.192 0.824 0.568
Si3 Si 0.292 0.665 0.404
Si4 Si 0.298 0.328 0.067
Si5 Si 0.339 0.352 0.738
Si6 Si 0.341 0.684 0.067
Si7 Si 0.349 0.311 0.404
Si8 Si 0.350 0.023 0.406
Si9 Si 0.352 0.642 0.737
Si10 Si 0.353 0.985 0.067
Si11 Si 0.637 0.315 0.905
Si12 Si 0.639 0.020 0.904
Si13 Si 0.701 0.330 0.568
Si14 Si 0.701 0.661 0.902
Si15 Si 0.787 0.830 0.068
Si16 Si 0.848 0.186 0.067
Si17 Si 0.851 0.519 0.406
Si18 Si 0.851 0.812 0.405
S1 S 0.132 0.808 0.907
S2 S 0.135 0.483 0.575
S3 S 0.138 0.153 0.237
S4 S 0.149 0.523 0.905
S5 S 0.157 0.849 0.237
S6 S 0.190 0.494 0.235
S7 S 0.205 0.165 0.906
S8 S 0.298 0.992 0.736
S9 S 0.633 0.981 0.575
S10 S 0.639 0.654 0.236
S11 S 0.648 0.688 0.573
S12 S 0.658 0.350 0.237
S13 S 0.693 0.993 0.236
S14 S 0.784 0.164 0.407
S15 S 0.786 0.492 0.739
S16 S 0.837 0.851 0.737
S17 S 0.853 0.151 0.736
S18 S 0.857 0.480 0.073
O1 O 0.052 0.890 0.904
O2 O 0.056 0.564 0.572
O3 O 0.067 0.240 0.228
O4 O 0.071 0.763 0.958
O5 O 0.075 0.435 0.625
O6 O 0.077 0.094 0.579
O7 O 0.080 0.120 0.291
O8 O 0.086 0.223 0.510
O9 O 0.087 0.437 0.908
O10 O 0.087 0.902 0.580
O11 O 0.092 0.562 0.854
O12 O 0.093 0.764 0.238
O13 O 0.093 0.895 0.189
O14 O 0.095 0.416 0.227
O15 O 0.096 0.568 0.237
O16 O 0.098 0.735 0.567
O17 O 0.101 0.100 0.188
O18 O 0.102 0.760 0.855
O19 O 0.103 0.238 0.909
O20 O 0.106 0.251 0.624
O21 O 0.109 0.088 0.902
O22 O 0.111 0.434 0.522
O23 O 0.116 0.573 0.957
O24 O 0.129 0.896 0.291
O25 O 0.153 0.349 0.728
O26 O 0.159 0.677 0.060
O27 O 0.169 0.025 0.404
O28 O 0.173 0.320 0.125
O29 O 0.174 0.316 0.408
O30 O 0.177 0.656 0.462
O31 O 0.183 0.665 0.745
O32 O 0.185 0.000 0.082
O33 O 0.191 0.684 0.350
O34 O 0.192 0.348 0.016
O35 O 0.202 0.002 0.686
O36 O 0.211 0.979 0.788
O37 O 0.275 0.481 0.288
O38 O 0.287 0.502 0.186
O39 O 0.287 0.838 0.513
O40 O 0.288 0.173 0.854
O41 O 0.288 0.822 0.911
O42 O 0.292 0.496 0.580
O43 O 0.296 0.157 0.957
O44 O 0.297 0.167 0.239
O45 O 0.313 0.516 0.901
O46 O 0.317 0.816 0.625
O47 O 0.320 0.843 0.230
O48 O 0.325 0.180 0.566
O49 O 0.374 0.927 0.013
O50 O 0.378 0.750 0.124
O51 O 0.384 0.239 0.063
O52 O 0.384 0.416 0.794
O53 O 0.387 0.253 0.350
O54 O 0.389 0.594 0.681
O55 O 0.390 0.581 0.404
O56 O 0.391 0.914 0.727
O57 O 0.393 0.257 0.744
O58 O 0.394 0.065 0.740
O59 O 0.397 0.746 0.412
O60 O 0.400 0.084 0.463
O61 O 0.402 0.927 0.410
O62 O 0.406 0.404 0.081
O63 O 0.406 0.593 0.081
O64 O 0.407 0.394 0.683
O65 O 0.409 0.724 0.013
O66 O 0.414 0.064 0.349
O67 O 0.419 0.259 0.463
O68 O 0.427 0.594 0.794
O69 O 0.430 0.928 0.124
O70 O 0.436 0.741 0.726
O71 O 0.440 0.398 0.405
O72 O 0.441 0.075 0.062
O73 O 0.555 0.407 0.894
O74 O 0.561 0.064 0.571
O75 O 0.567 0.264 0.962
O76 O 0.568 0.738 0.229
O77 O 0.570 0.933 0.625
O78 O 0.581 0.064 0.848
O79 O 0.583 0.605 0.580
O80 O 0.583 0.924 0.907
O81 O 0.584 0.616 0.290
O82 O 0.590 0.727 0.521
O83 O 0.593 0.394 0.188
O84 O 0.595 0.408 0.576
O85 O 0.598 0.068 0.238
O86 O 0.598 0.264 0.239
O87 O 0.600 0.085 0.960
O88 O 0.601 0.915 0.230
O89 O 0.602 0.599 0.188
O90 O 0.602 0.744 0.908
O91 O 0.604 0.574 0.894
O92 O 0.606 0.745 0.624
O93 O 0.607 0.238 0.564
O94 O 0.615 0.933 0.523
O95 O 0.616 0.254 0.851
O96 O 0.632 0.397 0.290
O97 O 0.668 0.185 0.066
O98 O 0.669 0.815 0.122
O99 O 0.672 0.519 0.405
O100 O 0.675 0.845 0.728
O101 O 0.679 0.817 0.414
O102 O 0.690 0.483 0.790
O103 O 0.691 0.155 0.457
O104 O 0.695 0.162 0.739
O105 O 0.698 0.175 0.354
O106 O 0.702 0.495 0.082
O107 O 0.702 0.506 0.688
O108 O 0.708 0.841 0.009
O109 O 0.781 0.985 0.289
O110 O 0.789 0.002 0.186
O111 O 0.790 0.338 0.510
O112 O 0.791 0.993 0.584
O113 O 0.800 0.664 0.237
O114 O 0.808 0.685 0.573
O115 O 0.812 0.327 0.911
O116 O 0.812 0.676 0.852
O117 O 0.821 0.344 0.228
O118 O 0.821 0.651 0.961
O119 O 0.823 0.018 0.903
O120 O 0.825 0.323 0.624
O121 O 0.864 0.899 0.791
O122 O 0.877 0.415 0.735
O123 O 0.878 0.433 0.021
O124 O 0.878 0.758 0.349
O125 O 0.879 0.240 0.410
O126 O 0.881 0.090 0.402
O127 O 0.884 0.565 0.746
O128 O 0.886 0.738 0.063
O129 O 0.889 0.097 0.688
O130 O 0.892 0.252 0.124
O131 O 0.898 0.580 0.463
O132 O 0.900 0.766 0.740
O133 O 0.902 0.902 0.081
O134 O 0.903 0.895 0.689
O135 O 0.906 0.422 0.408
O136 O 0.908 0.226 0.011
O137 O 0.909 0.095 0.080
O138 O 0.914 0.116 0.790
O139 O 0.916 0.562 0.350
O140 O 0.925 0.237 0.729
O141 O 0.925 0.437 0.123
O142 O 0.928 0.759 0.461
O143 O 0.934 0.564 0.068
O144 O 0.942 0.901 0.405
# total moment	0.000	μB/f.u.


The following is a PBE calculation of a relaxed TbPPd crystal, from Materials Project.

Structure (CIF):
```
data_TbPPd
_chemical_formula_sum 'Tb4 P4 Pd4'
_symmetry_space_group_name_H-M 'P n m a'
_symmetry_Int_Tables_number 62
_cell_length_a 6.961
_cell_length_b 4.040
_cell_length_c 7.762
_cell_angle_alpha 90.00
_cell_angle_beta 90.00
_cell_angle_gamma 90.00
loop_
_symmetry_equiv_pos_as_xyz
'x,y,z'
'-x,-y,-z'
'-x+1/2,-y,z+1/2'
'x+1/2,y,-z+1/2'
'x+1/2,-y+1/2,-z+1/2'
'-x+1/2,y+1/2,z+1/2'
'-x,y+1/2,-z'
'x,-y+1/2,z'
loop_
_atom_site_label
_atom_site_type_symbol
_atom_site_fract_x
_atom_site_fract_y
_atom_site_fract_z
Tb1 Tb 0.028 0.250 0.188
P1 P 0.247 0.750 0.378
Pd1 Pd 0.150 0.250 0.561
```


The following is a PBE calculation of a relaxed K2PdCl4 crystal, from Materials Project.

Structure (CIF):
```
data_K2PdCl4
_chemical_formula_sum 'K2 Pd1 Cl4'
_symmetry_space_group_name_H-M 'P 4/m m m'
_symmetry_Int_Tables_number 123
_symmetry_space_group_name_Hall '-P 4 2'
_cell_length_a 7.142
_cell_length_b 7.142
_cell_length_c 4.226
_cell_angle_alpha 90.00
_cell_angle_beta 90.00
_cell_angle_gamma 90.00
loop_
_atom_site_label
_atom_site_type_symbol
_atom_site_fract_x
_atom_site_fract_y
_atom_site_fract_z
K1 K 0.000 0.500 0.000
Pd1 Pd 0.000 0.000 0.500
Cl1 Cl 0.231 0.231 0.500
```


The following is a PBE calculation of a relaxed Nd4MgCo crystal, from Materials Project.

Structure (CIF):
```
data_Nd4MgCo
_chemical_formula_sum 'Nd64 Mg16 Co16'
_symmetry_space_group_name_H-M 'F -4 3 m'
_symmetry_Int_Tables_number 216
_symmetry_space_group_name_Hall 'F -4 2 3'
_cell_length_a 13.924
_cell_length_b 13.924
_cell_length_c 13.924
_cell_angle_alpha 90.00
_cell_angle_beta 90.00
_cell_angle_gamma 90.00
loop_
_atom_site_label
_atom_site_type_symbol
_atom_site_fract_x
_atom_site_fract_y
_atom_site_fract_z
Nd1 Nd 0.000 0.000 0.187
Nd2 Nd 0.062 0.250 0.250
Nd3 Nd 0.156 0.156 0.656
Mg1 Mg 0.079 0.079 0.421
Co1 Co 0.140 0.140 0.860
```


# Ba3AlF9, optimized geometry, DFT PBE
data_Ba3AlF9
_chemical_formula_sum 'Ba12 Al4 F36'
_symmetry_space_group_name_H-M 'P n m a'
_symmetry_Int_Tables_number 62
_cell_length_a 10.231
_cell_length_b 5.659
_cell_length_c 15.072
_cell_angle_alpha 90.00
_cell_angle_beta 90.00
_cell_angle_gamma 90.00
loop_
_symmetry_equiv_pos_as_xyz
'x,y,z'
'-x,-y,-z'
'-x+1/2,-y,z+1/2'
'x+1/2,y,-z+1/2'
'x+1/2,-y+1/2,-z+1/2'
'-x+1/2,y+1/2,z+1/2'
'-x,y+1/2,-z'
'x,-y+1/2,z'
loop_
_atom_site_label
_atom_site_type_symbol
_atom_site_fract_x
_atom_site_fract_y
_atom_site_fract_z
Ba1 Ba 0.053 0.250 0.101
Ba2 Ba 0.170 0.250 0.541
Ba3 Ba 0.235 0.750 0.320
Al1 Al 0.024 0.750 0.669
F1 F 0.045 0.019 0.406
F2 F 0.085 0.521 0.741
F3 F 0.133 0.250 0.273
F4 F 0.143 0.750 0.152
F5 F 0.149 0.003 0.956
F6 F 0.173 0.750 0.601
# polymorph energy (0 for the lowest one)	0.000	eV per atom
# total moment	0.001	μB/f.u.


The following is a PBE calculation of a relaxed GdAlO3 crystal, from Materials Project.

Structure (CIF):
```
data_GdAlO3
_chemical_formula_sum 'Gd4 Al4 O12'
_symmetry_space_group_name_H-M 'P n m a'
_symmetry_Int_Tables_number 62
_cell_length_a 5.371
_cell_length_b 7.511
_cell_length_c 5.285
_cell_angle_alpha 90.00
_cell_angle_beta 90.00
_cell_angle_gamma 90.00
loop_
_symmetry_equiv_pos_as_xyz
'x,y,z'
'-x,-y,-z'
'-x+1/2,-y,z+1/2'
'x+1/2,y,-z+1/2'
'x+1/2,-y+1/2,-z+1/2'
'-x+1/2,y+1/2,z+1/2'
'-x,y+1/2,-z'
'x,-y+1/2,z'
loop_
_atom_site_label
_atom_site_type_symbol
_atom_site_fract_x
_atom_site_fract_y
_atom_site_fract_z
Gd1 Gd 0.044 0.250 0.010
Al1 Al 0.000 0.000 0.500
O1 O 0.017 0.750 0.423
O2 O 0.212 0.541 0.787
```


Number 1: DFT total energy -2.17 eV per atom, ρ 3.184 g/cm³. Number 2: DFT total energy -7.27 eV per atom, ρ 2.873 g/cm³. Number 3: DFT total energy -6.34 eV per atom, ρ 9.016 g/cm³. Number 4: DFT total energy -3.49 eV per atom, ρ 2.515 g/cm³. Number 5: DFT total energy -4.73 eV per atom, ρ 6.498 g/cm³. Number 6: DFT total energy -5.83 eV per atom, ρ 4.643 g/cm³. Number 7: DFT total energy -9.81 eV per atom, ρ 7.236 g/cm³.